Ti3O7 | PBE-GGA | optimized geometry

CIF file:
```
data_Ti3O7
_chemical_formula_sum 'Ti6 O14'
_space_group_name_H-M_alt 'P 1'
_space_group_IT_number 1
_cell_length_a 3.763
_cell_length_b 8.471
_cell_length_c 9.324
_cell_angle_alpha 101.02
_cell_angle_beta 90.00
_cell_angle_gamma 102.83
loop_
_space_group_symop_operation_xyz
'x,y,z'
loop_
_atom_site_label
_atom_site_fract_x
_atom_site_fract_y
_atom_site_fract_z
Ti1 0.884 0.767 0.675
Ti2 0.116 0.233 0.325
Ti3 0.828 0.655 0.979
Ti4 0.172 0.345 0.021
Ti5 0.220 0.441 0.721
Ti6 0.780 0.559 0.279
O1 0.830 0.660 0.474
O2 0.170 0.340 0.526
O3 0.984 0.968 0.625
O4 0.654 0.309 0.322
O5 0.346 0.691 0.678
O6 0.914 0.828 0.883
O7 0.292 0.585 0.951
O8 0.865 0.730 0.178
O9 0.016 0.032 0.375
O10 0.086 0.172 0.117
O11 0.708 0.415 0.049
O12 0.135 0.270 0.822
O13 0.752 0.504 0.750
O14 0.248 0.496 0.250
```

As for the raw total energy: -8.2371 eV/atom. As for the relative energy among the computed polymorphs: 28.0 meV per atom.

=====

Cs2YCuF6 | PBE-GGA | optimized geometry

CIF file:
```
data_Cs2YCuF6
_chemical_formula_sum 'Cs2 Y1 Cu1 F6'
_space_group_name_H-M_alt 'P 1'
_space_group_IT_number 1
_cell_length_a 6.439
_cell_length_b 6.439
_cell_length_c 6.439
_cell_angle_alpha 60.00
_cell_angle_beta 60.00
_cell_angle_gamma 60.00
loop_
_space_group_symop_operation_xyz
'x,y,z'
loop_
_atom_site_label
_atom_site_fract_x
_atom_site_fract_y
_atom_site_fract_z
Cs1 0.750 0.750 0.750
Cs2 0.250 0.250 0.250
Cu1 0.000 0.000 0.000
F1 0.742 0.742 0.258
F2 0.742 0.258 0.258
F3 0.742 0.258 0.742
F4 0.258 0.742 0.258
F5 0.258 0.258 0.742
F6 0.258 0.742 0.742
Y1 0.500 0.500 0.500
```

As for the raw total energy: -5.2575 eV/atom.

=====

Sr11Al4In3 | PBE-GGA | optimized geometry

CIF file:
```
data_Sr11Al4In3
_chemical_formula_sum 'Sr22 Al8 In6'
_space_group_name_H-M_alt 'P 1'
_space_group_IT_number 1
_cell_length_a 12.430
_cell_length_b 12.430
_cell_length_c 12.430
_cell_angle_alpha 60.00
_cell_angle_beta 60.00
_cell_angle_gamma 60.00
loop_
_space_group_symop_operation_xyz
'x,y,z'
loop_
_atom_site_label
_atom_site_fract_x
_atom_site_fract_y
_atom_site_fract_z
Sr1 0.500 0.500 0.164
Sr2 0.131 0.607 0.131
Sr3 0.500 0.836 0.500
Sr4 0.869 0.869 0.869
Sr5 0.836 0.164 0.500
Sr6 0.164 0.500 0.836
Sr7 0.131 0.131 0.607
Sr8 0.500 0.164 0.500
Sr9 0.500 0.500 0.500
Sr10 0.000 0.000 0.000
Sr11 0.500 0.500 0.836
Sr12 0.869 0.869 0.393
Sr13 0.836 0.500 0.500
Sr14 0.164 0.836 0.500
Sr15 0.607 0.131 0.131
Sr16 0.131 0.131 0.131
Sr17 0.500 0.836 0.164
Sr18 0.500 0.164 0.836
Sr19 0.393 0.869 0.869
Sr20 0.836 0.500 0.164
Sr21 0.869 0.393 0.869
Sr22 0.164 0.500 0.500
In1 0.218 0.782 0.782
In2 0.782 0.218 0.218
In3 0.782 0.782 0.218
In4 0.782 0.218 0.782
In5 0.218 0.218 0.782
In6 0.218 0.782 0.218
Al1 0.084 0.305 0.305
Al2 0.916 0.695 0.695
Al3 0.305 0.305 0.305
Al4 0.305 0.305 0.084
Al5 0.305 0.084 0.305
Al6 0.695 0.916 0.695
Al7 0.695 0.695 0.916
Al8 0.695 0.695 0.695
```

As for the raw total energy: -2.5826 eV/atom.

=====

Ti3Bi2P6O24 | PBE-GGA | optimized geometry

CIF file:
```
data_Ti3Bi2P6O24
_chemical_formula_sum 'Ti3 Bi2 P6 O24'
_space_group_name_H-M_alt 'P 1'
_space_group_IT_number 1
_cell_length_a 8.872
_cell_length_b 8.872
_cell_length_c 8.872
_cell_angle_alpha 59.16
_cell_angle_beta 59.16
_cell_angle_gamma 59.16
loop_
_space_group_symop_operation_xyz
'x,y,z'
loop_
_atom_site_label
_atom_site_fract_x
_atom_site_fract_y
_atom_site_fract_z
P1 0.267 0.956 0.520
P2 0.454 0.751 0.062
P3 0.520 0.267 0.956
P4 0.751 0.062 0.454
P5 0.956 0.520 0.267
P6 0.062 0.454 0.751
O1 0.082 0.601 0.767
O2 0.953 0.703 0.103
O3 0.601 0.767 0.082
O4 0.987 0.362 0.216
O5 0.242 0.382 0.594
O6 0.362 0.216 0.987
O7 0.103 0.953 0.703
O8 0.548 0.434 0.768
O9 0.216 0.987 0.362
O10 0.515 0.703 0.883
O11 0.382 0.594 0.242
O12 0.463 0.341 0.107
O13 0.703 0.883 0.515
O14 0.703 0.103 0.953
O15 0.594 0.242 0.382
O16 0.341 0.107 0.463
O17 0.434 0.768 0.548
O18 0.107 0.463 0.341
O19 0.883 0.515 0.703
O20 0.768 0.548 0.434
O21 0.274 0.928 0.047
O22 0.767 0.082 0.601
O23 0.047 0.274 0.928
O24 0.928 0.047 0.274
Ti1 0.141 0.141 0.141
Ti2 0.659 0.659 0.659
Ti3 0.350 0.350 0.350
Bi1 0.503 0.503 0.503
Bi2 0.977 0.977 0.977
```

As for the raw total energy: -7.4904 eV/atom.

=====

SmBiPd2 | PBE-GGA | optimized geometry

CIF file:
```
data_SmBiPd2
_chemical_formula_sum 'Sm1 Bi1 Pd2'
_space_group_name_H-M_alt 'P 1'
_space_group_IT_number 1
_cell_length_a 4.967
_cell_length_b 4.967
_cell_length_c 4.967
_cell_angle_alpha 60.00
_cell_angle_beta 60.00
_cell_angle_gamma 60.00
loop_
_space_group_symop_operation_xyz
'x,y,z'
loop_
_atom_site_label
_atom_site_fract_x
_atom_site_fract_y
_atom_site_fract_z
Pd1 0.750 0.750 0.750
Pd2 0.250 0.250 0.250
Bi1 0.500 0.500 0.500
Sm1 0.000 0.000 0.000
```

As for the raw total energy: -5.4675 eV/atom.

=====

LaC2 | PBE-GGA | optimized geometry

CIF file:
```
data_LaC2
_chemical_formula_sum 'La1 C2'
_space_group_name_H-M_alt 'P 1'
_space_group_IT_number 1
_cell_length_a 4.163
_cell_length_b 4.163
_cell_length_c 4.163
_cell_angle_alpha 81.62
_cell_angle_beta 71.60
_cell_angle_gamma 122.60
loop_
_space_group_symop_operation_xyz
'x,y,z'
loop_
_atom_site_label
_atom_site_fract_x
_atom_site_fract_y
_atom_site_fract_z
C1 0.133 0.041 0.826
C2 0.867 0.041 0.092
La1 0.000 0.540 0.460
```

As for the raw total energy: -7.9025 eV/atom. As for the relative energy among the computed polymorphs: 55.6 meV per atom.

=====

Pr2GeRh3 | PBE-GGA | optimized geometry

CIF file:
```
data_Pr2GeRh3
_chemical_formula_sum 'Pr2 Ge1 Rh3'
_space_group_name_H-M_alt 'P 1'
_space_group_IT_number 1
_cell_length_a 5.238
_cell_length_b 5.238
_cell_length_c 5.238
_cell_angle_alpha 66.03
_cell_angle_beta 66.03
_cell_angle_gamma 66.03
loop_
_space_group_symop_operation_xyz
'x,y,z'
loop_
_atom_site_label
_atom_site_fract_x
_atom_site_fract_y
_atom_site_fract_z
Rh1 0.000 0.000 0.500
Rh2 0.500 0.000 0.000
Rh3 0.000 0.500 0.000
Pr1 0.628 0.628 0.628
Pr2 0.372 0.372 0.372
Ge1 0.000 0.000 0.000
```

As for the raw total energy: -6.8106 eV/atom.

=====

Li2Cu2F5 | PBE-GGA | optimized geometry

CIF file:
```
data_Li2Cu2F5
_chemical_formula_sum 'Li8 Cu8 F20'
_space_group_name_H-M_alt 'P 1'
_space_group_IT_number 1
_cell_length_a 3.016
_cell_length_b 9.958
_cell_length_c 14.077
_cell_angle_alpha 86.87
_cell_angle_beta 90.00
_cell_angle_gamma 90.00
loop_
_space_group_symop_operation_xyz
'x,y,z'
loop_
_atom_site_label
_atom_site_fract_x
_atom_site_fract_y
_atom_site_fract_z
F1 0.206 0.028 0.667
F2 0.182 0.438 0.874
F3 0.818 0.562 0.126
F4 0.314 0.760 0.236
F5 0.186 0.760 0.736
F6 0.825 0.825 0.079
F7 0.152 0.721 0.437
F8 0.686 0.240 0.764
F9 0.814 0.240 0.264
F10 0.325 0.175 0.421
F11 0.294 0.028 0.167
F12 0.675 0.825 0.579
F13 0.682 0.562 0.626
F14 0.175 0.175 0.921
F15 0.652 0.279 0.063
F16 0.706 0.972 0.833
F17 0.318 0.438 0.374
F18 0.848 0.279 0.563
F19 0.348 0.721 0.937
F20 0.794 0.972 0.333
Cu1 0.203 0.613 0.824
Cu2 0.764 0.888 0.954
Cu3 0.297 0.613 0.324
Cu4 0.797 0.387 0.176
Cu5 0.264 0.112 0.546
Cu6 0.736 0.888 0.454
Cu7 0.703 0.387 0.676
Cu8 0.236 0.112 0.046
Li1 0.693 0.892 0.707
Li2 0.193 0.108 0.793
Li3 0.681 0.313 0.904
Li4 0.819 0.313 0.404
Li5 0.319 0.687 0.096
Li6 0.307 0.108 0.293
Li7 0.807 0.892 0.207
Li8 0.181 0.687 0.596
```

As for the raw total energy: -4.4087 eV/atom. As for the relative energy among the computed polymorphs: 0.0 meV per atom.

=====

no.,formation energy (eV per atom)
1,-2.8857
2,-3.1503
3,-0.2591
4,-2.7416
5,-0.7254
6,-0.1047
7,-0.7643
8,-2.2666